Entry 1:
DFT (PBE with a Hubbard U) results for a relaxed Fe3OF7 crystal.

## Properties
The energy above the most stable polymorph in this dataset comes out at 0.003 eV/atom. The total DFT energy (no corrections) is -59.19 eV for the cell shown. The space-group type is R3m, No. 160. As for the largest piezoelectric modulus: 0.391 C/m².

Lattice parameters (Å, degrees): 5.8496 5.8496 5.8496 63.63 63.63 63.63
With the nearest neighbours (Å) after each atom.
Element x y z (fractional)
Fe 0.3859 0.8666 0.3859  1 O 1.96, 5 F 1.97-2.14
Fe 0.8666 0.3859 0.3859  1 O 1.96, 5 F 1.97-2.14
Fe 0.3859 0.3859 0.8666  1 O 1.96, 5 F 1.97-2.14
O 0.6150 0.6150 0.6150  3 Fe 1.96
F 0.1347 0.1347 0.1347  3 Fe 2.14
F 0.1277 0.5818 0.1277  2 Fe 1.97
F 0.5818 0.1277 0.1277  2 Fe 1.97
F 0.6220 0.6220 0.1632  2 Fe 1.99
F 0.1277 0.1277 0.5818  2 Fe 1.97
F 0.1632 0.6220 0.6220  2 Fe 1.99
F 0.6220 0.1632 0.6220  2 Fe 1.99


Entry 2:
DFT (PBE with a Hubbard U) results for a relaxed Fe5O3F7 crystal.

## Properties
The energy above the most stable polymorph in this dataset comes out at 0.005 eV/atom. The total DFT energy (no corrections) is -174.80 eV for the cell shown. The space-group type is P1, No. 1.

Lattice parameters (Å, degrees): 4.8085 4.8145 15.6153 89.87 89.79 89.37
With the nearest neighbours (Å) after each atom.
Element x y z (fractional)
Fe 0.9960 0.0024 0.9989  2 O 1.93-1.94, 4 F 2.01-2.12
Fe 0.0382 0.9774 0.1936  2 O 1.90, 3 F 2.07-2.11
Fe 0.9629 0.0369 0.3998  1 O 2.01, 5 F 2.13-2.17
Fe 0.0213 0.9590 0.6062  2 O 1.89-1.90, 3 F 2.07-2.11
Fe 0.9767 0.9822 0.8017  2 O 1.91-1.92, 2 F 2.01-2.02
Fe 0.4637 0.4719 0.1053  2 O 2.02-2.07, 4 F 2.13-2.23
Fe 0.4927 0.5002 0.5000  2 O 1.90-1.94, 4 F 2.05-2.12
Fe 0.5000 0.5067 0.2997  2 O 1.90-1.94, 4 F 2.04-2.13
Fe 0.5178 0.5252 0.6942  2 O 2.03-2.07, 4 F 2.14-2.21
Fe 0.5255 0.5271 0.9005  1 O 2.02, 5 F 2.09-2.21
O 0.8220 0.8145 0.7015  3 Fe 1.90-2.03
O 0.8173 0.8263 0.9028  3 Fe 1.91-2.02
O 0.3082 0.6909 0.2093  3 Fe 1.90-2.07
O 0.3056 0.6888 0.5903  3 Fe 1.89-2.07
O 0.6655 0.3341 0.3996  3 Fe 1.94-2.01
O 0.1783 0.1695 0.0963  3 Fe 1.90-2.02
F 0.7985 0.7888 0.1009  3 Fe 2.07-2.23
F 0.8028 0.8062 0.2946  3 Fe 2.06-2.14
F 0.7996 0.8001 0.5040  3 Fe 2.07-2.14
F 0.2914 0.7014 0.0003  3 Fe 2.02-2.14
F 0.2842 0.7164 0.3999  3 Fe 2.12-2.17
F 0.2988 0.7108 0.7999  3 Fe 2.02-2.15
F 0.6996 0.2986 0.0024  3 Fe 2.01-2.13
F 0.7140 0.2849 0.2095  3 Fe 2.04-2.21
F 0.7147 0.2827 0.5901  3 Fe 2.05-2.21
F 0.7056 0.3019 0.7984  3 Fe 2.01-2.14
F 0.1944 0.1953 0.5055  3 Fe 2.07-2.14
F 0.1989 0.1996 0.2955  3 Fe 2.08-2.13
F 0.2004 0.2062 0.8982  3 Fe 2.10-2.21
F 0.2054 0.1940 0.7011  3 Fe 2.07-2.21


Entry 3:
DFT (PBE with a Hubbard U) results for a relaxed Fe3O5F crystal.

## Properties
The energy above the most stable polymorph in this dataset comes out at 0.006 eV/atom. The total DFT energy (no corrections) is -110.25 eV for the cell shown. The space-group type is Cmmm, No. 65.

Lattice parameters (Å, degrees): 10.5545 10.5545 3.0181 90.00 90.00 144.55
With the nearest neighbours (Å) after each atom.
Element x y z (fractional)
Fe 0.6770 0.3230 0.0000  4 O 1.91-1.98, 2 F 2.10
Fe 0.1638 0.8362 0.5000  6 O 1.96-2.04
Fe 0.3230 0.6770 0.0000  4 O 1.91-1.98, 2 F 2.10
Fe 0.5000 0.5000 0.5000  4 O 1.93, 2 F 2.10
Fe 0.8362 0.1638 0.5000  6 O 1.96-2.04
Fe 0.0000 0.0000 0.0000  6 O 1.96-2.01
O 0.9707 0.6405 0.0000  3 Fe 1.96-1.98
O 0.0293 0.3595 0.0000  3 Fe 1.96-1.98
O 0.3595 0.0293 0.0000  3 Fe 1.96-1.98
O 0.2645 0.7355 0.5000  3 Fe 1.91-2.03
O 0.7355 0.2645 0.5000  3 Fe 1.91-2.03
O 0.6405 0.9707 0.0000  3 Fe 1.96-1.98
O 0.6880 0.6880 0.0000  3 Fe 1.93-2.01
O 0.9378 0.0622 0.5000  3 Fe 1.96-2.04
O 0.0622 0.9378 0.5000  3 Fe 1.96-2.04
O 0.3120 0.3120 0.0000  3 Fe 1.93-2.01
F 0.3958 0.6042 0.5000  3 Fe 2.10
F 0.6042 0.3958 0.5000  3 Fe 2.10


Entry 4:
DFT (PBE with a Hubbard U) results for a relaxed Fe6O5F7 crystal.

## Properties
The energy above the most stable polymorph in this dataset comes out at 0.025 eV/atom. The total DFT energy (no corrections) is -106.33 eV for the cell shown. The space-group type is P1, No. 1.

Lattice parameters (Å, degrees): 5.6904 5.7023 7.2501 73.49 73.41 74.92
With the nearest neighbours (Å) after each atom.
Element x y z (fractional)
Fe 0.6708 0.7003 0.8185  3 O 1.88-2.02, 1 F 2.05
Fe 0.3740 0.3263 0.6714  4 O 1.92-2.09
Fe 0.6459 0.6501 0.3307  3 O 1.93-2.01, 2 F 2.10
Fe 0.3271 0.3283 0.1654  2 O 1.94-1.95, 4 F 2.04-2.09
Fe 0.9887 0.9981 0.5077  5 F 2.01-2.14, 1 O 2.02
Fe 0.9933 0.0033 0.9998  2 O 1.96-1.98, 4 F 2.00-2.14
O 0.2226 0.2246 0.9730  3 Fe 1.94-2.08
O 0.5759 0.5737 0.6246  3 Fe 1.94-2.00
O 0.7732 0.7721 0.0385  3 Fe 1.96-2.02
O 0.4253 0.4284 0.3646  3 Fe 1.93-2.09
O 0.6335 0.0323 0.6709  3 Fe 1.88-2.02
F 0.0387 0.6213 0.6724  3 Fe 2.05-2.19
F 0.3628 0.9709 0.3327  3 Fe 2.05-2.14
F 0.9000 0.8949 0.2962  3 Fe 2.01-2.18
F 0.1038 0.1029 0.7050  3 Fe 2.00-2.16
F 0.9687 0.3697 0.3304  3 Fe 2.04-2.14
F 0.3030 0.6960 0.9990  3 Fe 2.09-2.14
F 0.6925 0.3067 0.9993  3 Fe 2.08-2.25


Entry 5:
DFT (PBE with a Hubbard U) results for a relaxed Fe3O2F4 crystal.

## Properties
The energy above the most stable polymorph in this dataset comes out at 0.009 eV/atom. The total DFT energy (no corrections) is -105.33 eV for the cell shown. The space-group type is Pm, No. 6.

Lattice parameters (Å, degrees): 9.4778 4.7578 4.7891 88.82 90.00 90.00
With the nearest neighbours (Å) after each atom.
Element x y z (fractional)
Fe 0.1745 0.9751 0.9891  2 O 2.03-2.06, 4 F 2.13-2.21
Fe 0.8255 0.9751 0.9891  2 O 2.03-2.06, 4 F 2.13-2.21
Fe 0.5000 0.9822 0.0324  2 O 1.88, 1 F 2.08
Fe 0.0000 0.5204 0.5298  2 O 1.92, 2 F 1.99
Fe 0.3232 0.5313 0.4918  2 O 1.89-1.90, 3 F 2.07-2.10
Fe 0.6768 0.5313 0.4918  2 O 1.89-1.90, 3 F 2.07-2.10
O 0.6565 0.8037 0.2017  3 Fe 1.88-2.06
O 0.3435 0.8037 0.2017  3 Fe 1.88-2.06
O 0.1665 0.6818 0.6868  3 Fe 1.90-2.03
O 0.8335 0.6818 0.6868  3 Fe 1.90-2.03
F 0.0000 0.7864 0.2031  3 Fe 1.99-2.13
F 0.5000 0.6972 0.6970  3 Fe 2.10-2.12
F 0.1650 0.3022 0.3034  3 Fe 2.07-2.19
F 0.8350 0.3022 0.3034  3 Fe 2.07-2.19
F 0.5000 0.3106 0.3114  3 Fe 2.08-2.17
F 0.0000 0.1948 0.7981  3 Fe 1.99-2.15
F 0.3503 0.2100 0.7911  3 Fe 2.09-2.21
F 0.6497 0.2100 0.7911  3 Fe 2.09-2.21


Entry 6:
DFT (PBE with a Hubbard U) results for a relaxed Fe5O4F8 crystal.

## Properties
The energy above the most stable polymorph in this dataset comes out at 0.047 eV/atom. The total DFT energy (no corrections) is -95.74 eV for the cell shown. The space-group type is F222, No. 22.

Lattice parameters (Å, degrees): 9.5517 8.5958 5.6585 81.33 62.83 35.85
With the nearest neighbours (Å) after each atom.
Element x y z (fractional)
Fe 0.7500 0.7500 0.7500  4 O 1.91
Fe 0.0874 0.0874 0.4126  4 F 1.97-2.00, 2 O 2.01
Fe 0.6591 0.6591 0.3409  4 F 1.94-2.02, 2 O 1.99
Fe 0.4126 0.4126 0.0874  4 F 1.97-2.00, 2 O 2.01
Fe 0.3409 0.3409 0.6591  4 F 1.94-2.02, 2 O 1.99
O 0.5409 0.1199 0.8581  3 Fe 1.91-2.01
O 0.4811 0.8581 0.1199  3 Fe 1.91-2.01
O 0.8581 0.4811 0.5409  3 Fe 1.91-2.01
O 0.1199 0.5409 0.4811  3 Fe 1.91-2.01
F 0.2491 0.7509 0.2491  2 Fe 1.97
F 0.8956 0.2723 0.2022  2 Fe 1.94-2.00
F 0.5233 0.9767 0.5233  3 Fe 2.02-2.25
F 0.2723 0.8956 0.6298  2 Fe 1.94-2.00
F 0.7509 0.2491 0.7509  2 Fe 1.97
F 0.6298 0.2022 0.2723  2 Fe 1.94-2.00
F 0.2022 0.6298 0.8956  2 Fe 1.94-2.00
F 0.9767 0.5233 0.9767  3 Fe 2.02-2.25


Entry 7:
DFT (PBE with a Hubbard U) results for a relaxed Fe5O2F8 crystal.

## Properties
The energy above the most stable polymorph in this dataset comes out at 0.019 eV/atom. The total DFT energy (no corrections) is -171.83 eV for the cell shown. The space-group type is P1, No. 1.

Lattice parameters (Å, degrees): 4.8522 7.9645 10.0407 70.77 88.65 88.39
With the nearest neighbours (Å) after each atom.
Element x y z (fractional)
Fe 0.5152 0.7024 0.8934  1 O 1.98, 4 F 2.07-2.16
Fe 0.4963 0.8993 0.3044  2 O 1.93-1.94, 4 F 2.04-2.08
Fe 0.5150 0.0937 0.6931  1 O 1.98, 5 F 2.07-2.14
Fe 0.4486 0.2894 0.0992  2 O 1.82-1.94
Fe 0.5166 0.5047 0.4922  1 O 2.03, 5 F 2.04-2.20
Fe 0.0175 0.3891 0.8085  1 O 1.95, 5 F 2.10-2.18
Fe 0.9735 0.8030 0.6165  1 O 1.81, 2 F 2.01
Fe 0.0229 0.1949 0.3872  1 O 1.95, 3 F 2.06-2.18
Fe 0.9651 0.6093 0.2100  1 O 1.87, 4 F 1.98-2.05
Fe 0.0188 0.0132 0.9959  5 F 2.00-2.20, 1 O 2.04
O 0.2016 0.2457 0.9811  3 Fe 1.82-2.04
O 0.3203 0.1280 0.2787  3 Fe 1.93-1.95
O 0.7011 0.8595 0.7223  3 Fe 1.81-1.98
O 0.6905 0.6791 0.3163  3 Fe 1.87-2.03
F 0.1870 0.0259 0.5820  3 Fe 2.01-2.14
F 0.1827 0.4545 0.3701  3 Fe 1.98-2.18
F 0.1993 0.6441 0.7758  3 Fe 2.01-2.16
F 0.2036 0.8249 0.1875  3 Fe 2.05-2.20
F 0.3028 0.9367 0.8786  3 Fe 2.00-2.13
F 0.3188 0.3393 0.6651  3 Fe 2.04-2.15
F 0.2870 0.5372 0.0888  3 Fe 2.07-2.26
F 0.2888 0.7509 0.4813  3 Fe 2.04-2.20
F 0.7140 0.2570 0.5080  3 Fe 2.06-2.13
F 0.6985 0.0577 0.1252  3 Fe 2.07-2.13
F 0.6802 0.4472 0.9351  3 Fe 2.05-2.18
F 0.8239 0.5632 0.6245  3 Fe 2.04-2.18
F 0.8000 0.9466 0.4262  3 Fe 2.06-2.20
F 0.7973 0.1633 0.8166  3 Fe 2.07-2.10
F 0.8189 0.7594 0.0254  3 Fe 1.98-2.19
F 0.7944 0.3807 0.2110  2 Fe 2.02-2.20


Q: total DFT energy (no corrections) of number 7 (Fe5O2F8)?
A: -171.83 eV for the cell shown


Q: What is the total DFT energy (no corrections) in the second record?
A: -174.80 eV for the cell shown